i.
# CaAl2Si3O13 PBE optimized geometry
data_CaAl2Si3O13
_cell_length_a 9.879
_cell_length_b 9.879
_cell_length_c 9.657
_cell_angle_alpha 84.38
_cell_angle_beta 84.38
_cell_angle_gamma 140.41
_symmetry_space_group_name_H-M 'P 1'
_symmetry_Int_Tables_number 1
_symmetry_space_group_name_Hall 'P 1'
loop_
_atom_site_label
_atom_site_fract_x
_atom_site_fract_y
_atom_site_fract_z
O1 0.503 0.180 0.789
O2 0.993 0.719 0.121
O3 0.744 0.240 0.240
O4 0.104 0.290 0.686
O5 0.258 0.662 0.828
O6 0.784 0.169 0.841
O7 0.290 0.104 0.186
O8 0.060 0.859 0.840
O9 0.240 0.744 0.740
O10 0.706 0.816 0.056
O11 0.417 0.966 0.065
O12 0.662 0.258 0.328
O13 0.180 0.503 0.289
O14 0.320 0.206 0.623
O15 0.662 0.567 0.025
O16 0.169 0.784 0.341
O17 0.816 0.706 0.556
O18 0.292 0.240 0.897
O19 0.719 0.993 0.621
O20 0.206 0.320 0.123
O21 0.240 0.292 0.397
O22 0.439 0.808 0.457
O23 0.808 0.439 0.957
O24 0.859 0.060 0.340
O25 0.567 0.662 0.525
O26 0.966 0.417 0.565
Si1 0.885 0.646 0.984
Si2 0.303 0.126 0.789
Si3 0.646 0.885 0.484
Si4 0.891 0.222 0.671
Si5 0.126 0.303 0.289
Si6 0.222 0.891 0.171
Al1 0.628 0.189 0.911
Al2 0.315 0.376 0.559
Al3 0.376 0.315 0.059
Al4 0.189 0.628 0.411
Ca1 0.022 0.206 0.940
Ca2 0.206 0.022 0.440
# SG: Cc, No. 9
# Magnetic moment: 4.0 μB/f.u.

***

ii.
# CaAl2Si3O13 PBE optimized geometry
data_CaAl2Si3O13
_cell_length_a 9.741
_cell_length_b 9.741
_cell_length_c 9.726
_cell_angle_alpha 83.85
_cell_angle_beta 83.85
_cell_angle_gamma 139.80
_symmetry_space_group_name_H-M 'P 1'
_symmetry_Int_Tables_number 1
_symmetry_space_group_name_Hall 'P 1'
loop_
_atom_site_label
_atom_site_fract_x
_atom_site_fract_y
_atom_site_fract_z
Al1 0.380 0.319 0.057
Al2 0.182 0.629 0.420
Al3 0.319 0.380 0.557
Al4 0.629 0.182 0.920
Si1 0.309 0.135 0.793
Si2 0.894 0.649 0.981
Si3 0.135 0.309 0.293
Si4 0.886 0.214 0.677
Si5 0.214 0.886 0.177
Si6 0.649 0.894 0.481
O1 0.240 0.285 0.401
O2 0.345 0.227 0.625
O3 0.614 0.200 0.363
O4 0.188 0.507 0.307
O5 0.285 0.240 0.901
O6 0.444 0.831 0.456
O7 0.227 0.345 0.125
O8 0.722 0.999 0.616
O9 0.565 0.667 0.519
O10 0.507 0.188 0.807
O11 0.999 0.722 0.116
O12 0.838 0.728 0.575
O13 0.831 0.444 0.956
O14 0.769 0.145 0.848
O15 0.667 0.565 0.019
O16 0.104 0.290 0.686
O17 0.864 0.070 0.335
O18 0.418 0.960 0.079
O19 0.145 0.769 0.348
O20 0.725 0.199 0.174
O21 0.290 0.104 0.186
O22 0.200 0.614 0.863
O23 0.960 0.418 0.579
O24 0.070 0.864 0.835
O25 0.728 0.838 0.075
O26 0.199 0.725 0.674
Ca1 0.049 0.258 0.941
Ca2 0.258 0.049 0.441
# SG: Cc, No. 9
# Magnetic moment: 6.0 μB/f.u.

***

iii.
# CaAl2Si3O13 PBE optimized geometry
data_CaAl2Si3O13
_cell_length_a 9.784
_cell_length_b 9.784
_cell_length_c 9.811
_cell_angle_alpha 83.95
_cell_angle_beta 83.95
_cell_angle_gamma 140.37
_symmetry_space_group_name_H-M 'P 1'
_symmetry_Int_Tables_number 1
_symmetry_space_group_name_Hall 'P 1'
loop_
_atom_site_label
_atom_site_fract_x
_atom_site_fract_y
_atom_site_fract_z
Si1 0.879 0.207 0.678
Si2 0.306 0.131 0.796
Si3 0.207 0.879 0.178
Si4 0.638 0.881 0.495
Si5 0.131 0.306 0.296
Si6 0.881 0.638 0.995
O1 0.284 0.239 0.902
O2 0.434 0.815 0.465
O3 0.401 0.951 0.068
O4 0.692 0.819 0.056
O5 0.815 0.434 0.965
O6 0.205 0.520 0.296
O7 0.269 0.839 0.623
O8 0.159 0.775 0.344
O9 0.072 0.857 0.854
O10 0.659 0.562 0.023
O11 0.520 0.205 0.796
O12 0.951 0.401 0.568
O13 0.562 0.659 0.523
O14 0.317 0.202 0.632
O15 0.819 0.692 0.556
O16 0.839 0.269 0.123
O17 0.970 0.697 0.136
O18 0.097 0.284 0.686
O19 0.652 0.284 0.385
O20 0.775 0.159 0.844
O21 0.239 0.284 0.402
O22 0.697 0.970 0.636
O23 0.284 0.097 0.186
O24 0.857 0.072 0.354
O25 0.202 0.317 0.132
O26 0.284 0.652 0.885
Ca1 0.242 0.035 0.444
Ca2 0.035 0.242 0.944
Al1 0.622 0.181 0.917
Al2 0.181 0.622 0.417
Al3 0.310 0.369 0.560
Al4 0.369 0.310 0.060
# SG: Cc, No. 9
# Magnetic moment: 6.0 μB/f.u.

***

Relative energies, unit eV/atom: i 0.125; ii 0.000; iii 0.021

***

i.
# CaAl2Si4O14 PBE optimized geometry
data_CaAl2Si4O14
_cell_length_a 10.038
_cell_length_b 10.038
_cell_length_c 7.563
_cell_angle_alpha 74.40
_cell_angle_beta 74.40
_cell_angle_gamma 82.98
_symmetry_space_group_name_H-M 'P 1'
_symmetry_Int_Tables_number 1
_symmetry_space_group_name_Hall 'P 1'
loop_
_atom_site_label
_atom_site_fract_x
_atom_site_fract_y
_atom_site_fract_z
Si1 0.935 0.231 0.176
Si2 0.534 0.301 0.823
Si3 0.699 0.466 0.177
Si4 0.769 0.065 0.824
Si5 0.609 0.910 0.659
Si6 0.090 0.391 0.341
Si7 0.856 0.624 0.346
Si8 0.376 0.144 0.654
O1 0.538 0.437 0.220
O2 0.260 0.995 0.154
O3 0.932 0.090 0.774
O4 0.643 0.938 0.427
O5 0.563 0.462 0.780
O6 0.584 0.749 0.765
O7 0.251 0.416 0.235
O8 0.707 0.001 0.053
O9 0.468 0.003 0.730
O10 0.723 0.571 0.298
O11 0.474 0.764 0.250
O12 0.789 0.320 0.236
O13 0.824 0.599 0.577
O14 0.999 0.293 0.947
O15 0.429 0.277 0.702
O16 0.741 0.959 0.710
O17 0.236 0.526 0.750
O18 0.401 0.176 0.423
O19 0.062 0.357 0.573
O20 0.881 0.784 0.242
O21 0.762 0.536 0.950
O22 0.216 0.119 0.758
O23 0.005 0.740 0.846
O24 0.464 0.238 0.050
O25 0.910 0.068 0.226
O26 0.041 0.259 0.290
O27 0.997 0.532 0.270
O28 0.680 0.211 0.764
Al1 0.053 0.202 0.762
Al2 0.670 0.589 0.767
Al3 0.798 0.947 0.238
Al4 0.411 0.330 0.233
Ca1 0.482 0.012 0.237
Ca2 0.988 0.518 0.763
# SG: C2, No. 5
# Magnetic moment: 4.0 μB/f.u.

***

ii.
# CaAl2Si4O14 PBE optimized geometry
data_CaAl2Si4O14
_cell_length_a 11.928
_cell_length_b 11.928
_cell_length_c 13.695
_cell_angle_alpha 55.62
_cell_angle_beta 55.62
_cell_angle_gamma 71.21
_symmetry_space_group_name_H-M 'P 1'
_symmetry_Int_Tables_number 1
_symmetry_space_group_name_Hall 'P 1'
loop_
_atom_site_label
_atom_site_fract_x
_atom_site_fract_y
_atom_site_fract_z
Al1 0.259 0.932 0.771
Al2 0.741 0.068 0.229
Al3 0.585 0.261 0.963
Al4 0.739 0.415 0.537
Al5 0.932 0.259 0.271
Al6 0.261 0.585 0.463
Al7 0.068 0.741 0.729
Al8 0.415 0.739 0.037
Si1 0.449 0.208 0.262
Si2 0.273 0.454 0.304
Si3 0.792 0.551 0.238
Si4 0.966 0.721 0.575
Si5 0.551 0.792 0.738
Si6 0.279 0.034 0.925
Si7 0.721 0.966 0.075
Si8 0.036 0.211 0.032
Si9 0.964 0.789 0.968
Si10 0.454 0.273 0.804
Si11 0.211 0.036 0.532
Si12 0.034 0.279 0.425
Si13 0.546 0.727 0.196
Si14 0.727 0.546 0.696
Si15 0.208 0.449 0.762
Si16 0.789 0.964 0.468
O1 0.918 0.661 0.123
O2 0.942 0.740 0.696
O3 0.739 0.544 0.381
O4 0.518 0.255 0.500
O5 0.309 0.878 0.011
O6 0.593 0.164 0.257
O7 0.740 0.942 0.196
O8 0.056 0.253 0.117
O9 0.878 0.309 0.511
O10 0.745 0.482 0.000
O11 0.164 0.593 0.757
O12 0.264 0.009 0.226
O13 0.618 0.674 0.692
O14 0.870 0.594 0.650
O15 0.691 0.122 0.989
O16 0.747 0.944 0.383
O17 0.407 0.836 0.743
O18 0.328 0.586 0.157
O19 0.661 0.918 0.623
O20 0.339 0.082 0.377
O21 0.917 0.860 0.476
O22 0.326 0.382 0.808
O23 0.170 0.882 0.605
O24 0.836 0.407 0.243
O25 0.058 0.260 0.304
O26 0.674 0.618 0.192
O27 0.471 0.252 0.924
O28 0.009 0.264 0.726
O29 0.482 0.745 0.500
O30 0.253 0.056 0.617
O31 0.255 0.518 0.000
O32 0.252 0.471 0.424
O33 0.860 0.917 0.976
O34 0.544 0.739 0.881
O35 0.736 0.991 0.774
O36 0.260 0.058 0.804
O37 0.991 0.736 0.274
O38 0.083 0.140 0.524
O39 0.944 0.747 0.883
O40 0.882 0.170 0.105
O41 0.406 0.130 0.850
O42 0.830 0.118 0.395
O43 0.261 0.456 0.619
O44 0.529 0.748 0.076
O45 0.082 0.339 0.877
O46 0.672 0.414 0.843
O47 0.122 0.691 0.489
O48 0.414 0.672 0.343
O49 0.118 0.830 0.895
O50 0.594 0.870 0.150
O51 0.382 0.326 0.308
O52 0.586 0.328 0.657
O53 0.456 0.261 0.119
O54 0.130 0.406 0.350
O55 0.140 0.083 0.024
O56 0.748 0.529 0.576
Ca1 0.737 0.741 0.393
Ca2 0.741 0.737 0.893
Ca3 0.259 0.263 0.107
Ca4 0.263 0.259 0.607
# SG: C2/c, No. 15
# Magnetic moment: 4.0 μB/f.u.

***

Relative energies, unit eV/atom: i 0.006; ii 0.000

***

i.
# Ca10TaTi8AlSi10O50 PBE optimized geometry
data_Ca10TaTi8AlSi10O50
_cell_length_a 6.677
_cell_length_b 7.200
_cell_length_c 22.420
_cell_angle_alpha 87.62
_cell_angle_beta 98.26
_cell_angle_gamma 113.06
_symmetry_space_group_name_H-M 'P 1'
_symmetry_Int_Tables_number 1
_symmetry_space_group_name_Hall 'P 1'
loop_
_atom_site_label
_atom_site_fract_x
_atom_site_fract_y
_atom_site_fract_z
O1 0.796 0.408 0.226
O2 0.398 0.585 0.171
O3 0.372 0.896 0.374
O4 0.373 0.375 0.918
O5 0.771 0.894 0.177
O6 0.753 0.407 0.715
O7 0.646 0.620 0.084
O8 0.665 0.620 0.583
O9 0.303 0.234 0.631
O10 0.243 0.612 0.284
O11 0.749 0.110 0.311
O12 0.385 0.600 0.688
O13 0.534 0.253 0.030
O14 0.049 0.885 0.285
O15 0.397 0.417 0.421
O16 0.555 0.381 0.313
O17 0.171 0.390 0.513
O18 0.642 0.105 0.626
O19 0.448 0.886 0.087
O20 0.148 0.107 0.118
O21 0.990 0.911 0.564
O22 0.711 0.249 0.422
O23 0.027 0.628 0.883
O24 0.186 0.921 0.974
O25 0.263 0.747 0.579
O26 0.629 0.880 0.485
O27 0.378 0.137 0.509
O28 0.613 0.377 0.829
O29 0.831 0.895 0.896
O30 0.086 0.741 0.173
O31 0.821 0.767 0.780
O32 0.003 0.590 0.372
O33 0.814 0.615 0.977
O34 0.228 0.368 0.034
O35 0.087 0.786 0.682
O36 0.270 0.061 0.837
O37 0.427 0.094 0.223
O38 0.943 0.358 0.122
O39 0.113 0.245 0.228
O40 0.470 0.737 0.971
O41 0.602 0.132 0.924
O42 0.031 0.099 0.423
O43 0.184 0.601 0.783
O44 0.050 0.452 0.015
O45 0.694 0.751 0.371
O46 0.484 0.942 0.746
O47 0.837 0.609 0.483
O48 0.969 0.425 0.617
O49 0.829 0.062 0.030
O50 0.982 0.179 0.712
Ti1 0.532 0.526 0.997
Ti2 0.096 0.501 0.199
Ti3 0.698 0.497 0.395
Ti4 0.098 0.003 0.200
Ti5 0.335 0.040 0.588
Ti6 0.696 0.000 0.392
Ti7 0.513 0.011 0.006
Ti8 0.317 0.490 0.603
Ca1 0.333 0.194 0.741
Ca2 0.044 0.758 0.069
Ca3 0.455 0.819 0.866
Ca4 0.992 0.206 0.939
Ca5 0.737 0.861 0.690
Ca6 0.164 0.255 0.329
Ca7 0.634 0.740 0.266
Ca8 0.232 0.726 0.464
Ca9 0.778 0.238 0.522
Ca10 0.556 0.270 0.132
Si1 0.968 0.771 0.929
Si2 0.838 0.281 0.672
Si3 0.164 0.747 0.326
Si4 0.762 0.756 0.522
Si5 0.455 0.235 0.880
Si6 0.019 0.236 0.075
Si7 0.287 0.732 0.725
Si8 0.240 0.259 0.466
Si9 0.565 0.749 0.128
Si10 0.632 0.247 0.269
Al1 0.996 0.683 0.608
Ta1 0.879 0.551 0.798
# SG: P1, No. 1
# Magnetic moment: 2.0 μB/f.u.

***

ii.
# Ca10TaTi8AlSi10O50 PBE optimized geometry
data_Ca10TaTi8AlSi10O50
_cell_length_a 6.684
_cell_length_b 7.132
_cell_length_c 22.164
_cell_angle_alpha 86.49
_cell_angle_beta 81.42
_cell_angle_gamma 65.82
_symmetry_space_group_name_H-M 'P 1'
_symmetry_Int_Tables_number 1
_symmetry_space_group_name_Hall 'P 1'
loop_
_atom_site_label
_atom_site_fract_x
_atom_site_fract_y
_atom_site_fract_z
Ta1 0.500 0.500 0.000
Ca1 0.634 0.749 0.731
Ca2 0.366 0.251 0.269
Ca3 0.021 0.759 0.931
Ca4 0.435 0.759 0.131
Ca5 0.834 0.750 0.331
Ca6 0.766 0.250 0.469
Ca7 0.979 0.241 0.069
Ca8 0.565 0.241 0.869
Ca9 0.166 0.250 0.669
Ca10 0.234 0.750 0.531
O1 0.914 0.249 0.173
O2 0.638 0.887 0.916
O3 0.240 0.886 0.714
O4 0.760 0.114 0.286
O5 0.374 0.594 0.625
O6 0.160 0.114 0.486
O7 0.440 0.886 0.314
O8 0.795 0.908 0.024
O9 0.227 0.404 0.175
O10 0.574 0.595 0.225
O11 0.553 0.386 0.086
O12 0.426 0.405 0.775
O13 0.599 0.093 0.175
O14 0.799 0.093 0.775
O15 0.513 0.245 0.973
O16 0.046 0.614 0.714
O17 0.040 0.885 0.114
O18 0.399 0.094 0.575
O19 0.601 0.906 0.425
O20 0.974 0.594 0.425
O21 0.773 0.596 0.825
O22 0.154 0.386 0.886
O23 0.840 0.886 0.514
O24 0.754 0.386 0.686
O25 0.205 0.092 0.976
O26 0.560 0.114 0.686
O27 0.362 0.113 0.084
O28 0.201 0.907 0.225
O29 0.026 0.406 0.575
O30 0.314 0.250 0.373
O31 0.354 0.386 0.486
O32 0.447 0.614 0.914
O33 0.960 0.115 0.886
O34 0.714 0.250 0.573
O35 0.170 0.596 0.025
O36 0.686 0.750 0.627
O37 0.086 0.751 0.827
O38 0.401 0.907 0.825
O39 0.487 0.755 0.027
O40 0.999 0.094 0.375
O41 0.886 0.750 0.227
O42 0.001 0.906 0.625
O43 0.626 0.406 0.375
O44 0.846 0.614 0.114
O45 0.646 0.614 0.514
O46 0.286 0.750 0.427
O47 0.830 0.404 0.975
O48 0.954 0.386 0.286
O49 0.246 0.614 0.314
O50 0.114 0.250 0.773
Si1 0.164 0.750 0.672
Si2 0.955 0.757 0.071
Si3 0.764 0.750 0.472
Si4 0.636 0.250 0.728
Si5 0.045 0.243 0.929
Si6 0.236 0.250 0.528
Si7 0.565 0.754 0.872
Si8 0.836 0.250 0.328
Si9 0.435 0.246 0.128
Si10 0.364 0.750 0.272
Ti1 0.700 0.500 0.600
Ti2 0.300 0.500 0.400
Ti3 0.100 0.500 0.800
Ti4 0.700 0.000 0.600
Ti5 0.300 0.000 0.400
Ti6 0.900 0.500 0.200
Ti7 0.100 0.000 0.800
Ti8 0.900 0.000 0.200
Al1 0.500 0.000 0.000
# SG: P-1, No. 2
# Magnetic moment: 0.0 μB/f.u.

***

Relative energies, unit eV/atom: i 0.279; ii 0.000